Compound: HoCoNi
Source: the Materials Project
Functional: GGA-PBE
Structure: relaxed

a = 5.0840 Å, b = 5.0840 Å, c = 5.0840 Å
α = 122.02°, β = 120.17°, γ = 88.12°
With the nearest neighbours (Å) after each atom.
Positions (direct):
Ho (0.3722, 0.1222, 0.2500)  6 Ni 2.91-3.04, 6 Co 2.97-2.99, 4 Ho 3.09-3.10
Ho (0.6278, 0.8778, 0.7500)  6 Ni 2.91-3.04, 6 Co 2.97-2.99, 4 Ho 3.09-3.10
Co (0.0000, 0.0000, 0.5000)  2 Co 2.46, 4 Ni 2.54
Co (0.0000, 0.5000, 0.0000)  2 Co 2.46, 4 Ni 2.54
Ni (0.0000, 0.5000, 0.5000)  2 Ni 2.54, 4 Co 2.54
Ni (0.5000, 0.5000, 0.0000)  2 Ni 2.54, 4 Co 2.54

Computed properties:
Formation energy   -0.33 eV per atom

Compound: BaLaBr5
Source: the Materials Project
Functional: GGA-PBE
Structure: relaxed

a = 7.6514 Å, b = 10.8974 Å, c = 11.8262 Å
α = 90.00°, β = 90.00°, γ = 90.00°
With the nearest neighbours (Å) after each atom.
Positions (direct):
Ba (0.2500, 0.6263, 0.1729)  4 Br 3.31-3.39
Ba (0.7500, 0.1263, 0.3271)  4 Br 3.31-3.39
Ba (0.2500, 0.8737, 0.6729)  4 Br 3.31-3.39
Ba (0.7500, 0.3737, 0.8271)  4 Br 3.31-3.39
La (0.2500, 0.1515, 0.0295)  7 Br 2.92-3.16
La (0.7500, 0.6515, 0.4705)  7 Br 2.92-3.16
La (0.2500, 0.3485, 0.5295)  7 Br 2.92-3.16
La (0.7500, 0.8485, 0.9705)  7 Br 2.92-3.16
Br (0.9811, 0.3383, 0.0612)  1 La 2.92
Br (0.5189, 0.3383, 0.0612)  1 La 2.92
Br (0.0005, 0.9631, 0.1445)  2 La 3.08-3.12, 1 Ba 3.39
Br (0.4995, 0.9631, 0.1445)  2 La 3.08-3.12, 1 Ba 3.39
Br (0.2500, 0.1886, 0.2943)  2 La 3.16-3.28
Br (0.7500, 0.6886, 0.2057)  2 La 3.16-3.28
Br (0.9995, 0.4631, 0.3555)  2 La 3.08-3.12, 1 Ba 3.39
Br (0.5005, 0.4631, 0.3555)  2 La 3.08-3.12, 1 Ba 3.39
Br (0.0189, 0.8383, 0.4388)  1 La 2.92
Br (0.4811, 0.8383, 0.4388)  1 La 2.92
Br (0.9811, 0.1617, 0.5612)  1 La 2.92
Br (0.5189, 0.1617, 0.5612)  1 La 2.92
Br (0.0005, 0.5369, 0.6445)  2 La 3.08-3.12, 1 Ba 3.39
Br (0.4995, 0.5369, 0.6445)  2 La 3.08-3.12, 1 Ba 3.39
Br (0.2500, 0.3114, 0.7943)  2 La 3.16-3.28
Br (0.7500, 0.8114, 0.7057)  2 La 3.16-3.28
Br (0.5005, 0.0369, 0.8555)  2 La 3.08-3.12, 1 Ba 3.39
Br (0.9995, 0.0369, 0.8555)  2 La 3.08-3.12, 1 Ba 3.39
Br (0.4811, 0.6617, 0.9388)  1 La 2.92
Br (0.0189, 0.6617, 0.9388)  1 La 2.92

Computed properties:
Offset from the most stable computed form   29 meV per atom
Magnetization   0.001 Bohr magnetons per cell
Formation energy   -2.42 eV per atom

Compound: Zr3V
Source: the Materials Project
Functional: GGA-PBE
Structure: relaxed

a = 6.3361 Å, b = 6.3361 Å, c = 4.9196 Å
α = 90.00°, β = 90.00°, γ = 120.00°
With the nearest neighbours (Å) after each atom.
Positions (direct):
Zr (0.1729, 0.3458, 0.2500)  4 V 3.03-3.17, 8 Zr 3.05-3.29
Zr (0.6542, 0.8271, 0.2500)  4 V 3.03-3.17, 8 Zr 3.05-3.29
Zr (0.1729, 0.8271, 0.2500)  4 V 3.03-3.17, 8 Zr 3.05-3.29
Zr (0.8271, 0.6542, 0.7500)  4 V 3.03-3.17, 8 Zr 3.05-3.29
Zr (0.3458, 0.1729, 0.7500)  4 V 3.03-3.17, 8 Zr 3.05-3.29
Zr (0.8271, 0.1729, 0.7500)  4 V 3.03-3.17, 8 Zr 3.05-3.29
V (0.3333, 0.6667, 0.7500)  12 Zr 3.03-3.17
V (0.6667, 0.3333, 0.2500)  12 Zr 3.03-3.17

Computed properties:
Magnetization   3.234 Bohr magnetons per cell
Formation energy   0.18 eV per atom

Compound: Mg2Si
Source: the Materials Project
Functional: GGA-PBE
Structure: relaxed

a = 4.6246 Å, b = 4.6246 Å, c = 6.0843 Å
α = 90.00°, β = 90.00°, γ = 120.00°
With the nearest neighbours (Å) after each atom.
Positions (direct):
Mg (0.6667, 0.3333, 0.2500)  3 Si 2.67
Mg (0.3333, 0.6667, 0.7500)  3 Si 2.67
Mg (0.0000, 0.0000, 0.5000)  8 Mg 3.04-3.07, 6 Si 3.07
Mg (0.0000, 0.0000, 0.0000)  8 Mg 3.04-3.07, 6 Si 3.07
Si (0.6667, 0.3333, 0.7500)  3 Mg 2.67
Si (0.3333, 0.6667, 0.2500)  3 Mg 2.67

Computed properties:
Magnetization   0.010 Bohr magnetons per cell
Formation energy   0.03 eV per atom

Question: Which value of formation energy does entry 2 give?
Answer: -2.42 eV per atom